# 1
! Na7La7Th2Ti18O54 | the Materials Project database | PBE-GGA | relaxed; values from VASP
&SYSTEM
  ibrav = 0, nat = 88, ntyp = 5
/
ATOMIC_SPECIES
O 16.00 O.upf
Na 22.99 Na.upf
Th 232.04 Th.upf
Ti 47.87 Ti.upf
La 138.91 La.upf
CELL_PARAMETERS angstrom
0.000 3.869 35.541
3.868 0.000 35.541
3.868 3.869 0.000
ATOMIC_POSITIONS crystal
O 0.425 0.019 0.575
O 0.862 0.862 0.638
O 0.926 0.520 0.480
O 0.464 0.869 0.536
O 0.905 0.316 0.095
O 0.630 0.262 0.370
O 0.639 0.639 0.861
O 0.250 0.250 0.250
O 0.548 0.117 0.452
O 0.221 0.776 0.779
O 0.825 0.400 0.600
O 0.362 0.362 0.138
O 0.269 0.842 0.158
O 0.626 0.042 0.958
O 0.127 0.759 0.241
O 0.842 0.269 0.731
O 0.684 0.097 0.316
O 0.979 0.575 0.021
O 0.077 0.481 0.519
O 0.869 0.464 0.131
O 0.302 0.695 0.305
O 0.917 0.917 0.583
O 0.400 0.825 0.175
O 0.117 0.548 0.883
O 0.750 0.750 0.750
O 0.965 0.370 0.630
O 0.042 0.626 0.374
O 0.583 0.583 0.917
O 0.417 0.417 0.083
O 0.481 0.077 0.923
O 0.774 0.334 0.226
O 0.630 0.153 0.847
O 0.139 0.139 0.361
O 0.306 0.306 0.194
O 0.695 0.695 0.805
O 0.083 0.083 0.417
O 0.695 0.302 0.698
O 0.575 0.979 0.425
O 0.334 0.774 0.666
O 0.262 0.630 0.738
O 0.153 0.630 0.370
O 0.195 0.195 0.305
O 0.097 0.684 0.903
O 0.520 0.926 0.074
O 0.027 0.027 0.473
O 0.806 0.806 0.694
O 0.527 0.527 0.973
O 0.776 0.221 0.224
O 0.316 0.905 0.684
O 0.019 0.425 0.981
O 0.972 0.972 0.528
O 0.472 0.472 0.028
O 0.759 0.127 0.873
O 0.370 0.965 0.035
Na 0.805 0.805 0.195
Na 0.694 0.694 0.306
Na 0.973 0.973 0.027
Na 0.029 0.029 0.971
Na 0.139 0.139 0.861
Na 0.415 0.415 0.585
Na 0.250 0.250 0.750
Th 0.473 0.473 0.527
Th 0.915 0.915 0.085
Ti 0.557 0.557 0.943
Ti 0.277 0.277 0.223
Ti 0.777 0.777 0.723
Ti 0.833 0.833 0.667
Ti 0.611 0.611 0.889
Ti 0.057 0.057 0.443
Ti 0.887 0.887 0.613
Ti 0.333 0.333 0.167
Ti 0.222 0.222 0.278
Ti 0.444 0.444 0.056
Ti 0.501 0.501 0.999
Ti 0.722 0.722 0.778
Ti 0.111 0.111 0.389
Ti 0.001 0.001 0.499
Ti 0.166 0.166 0.334
Ti 0.387 0.387 0.113
Ti 0.944 0.944 0.556
Ti 0.666 0.666 0.834
La 0.084 0.084 0.916
La 0.194 0.194 0.806
La 0.750 0.750 0.250
La 0.530 0.530 0.470
La 0.638 0.638 0.362
La 0.859 0.859 0.141
La 0.306 0.306 0.694
! Crystal system: orthorhombic
! Mass density, g/cm3: 5.19
! Uncorrected energy, eV per atom: -8.362
! Size of the total moment, μB per formula unit: 0.0
! ΔE_f, eV per formula unit: -304.98


# 2
! NpSi2Ni2 | the Materials Project database | PBE-GGA | relaxed; values from VASP
&SYSTEM
  ibrav = 0, nat = 5, ntyp = 3
/
ATOMIC_SPECIES
Np 237.00 Np.upf
Ni 58.69 Ni.upf
Si 28.09 Si.upf
CELL_PARAMETERS angstrom
3.679 1.130 4.101
0.018 5.010 2.557
-3.653 -4.024 -1.447
ATOMIC_POSITIONS crystal
Np 0.000 0.000 0.000
Ni 0.750 0.250 0.500
Ni 0.250 0.750 0.500
Si 0.624 0.624 0.000
Si 0.376 0.376 0.000
! Crystal system: tetragonal
! Mass density, g/cm3: 9.04
! Uncorrected energy, eV per atom: -7.463
! Size of the total moment, μB per formula unit: 0.3
! ΔE_f, eV per formula unit: -1.96


# 3
! Al8Fe5 | the Materials Project database | PBE-GGA | relaxed; values from VASP
&SYSTEM
  ibrav = 0, nat = 26, ntyp = 2
/
ATOMIC_SPECIES
Al 26.98 Al.upf
Fe 55.84 Fe.upf
CELL_PARAMETERS angstrom
-4.407 4.407 4.407
4.407 -4.407 4.407
4.407 4.407 -4.407
ATOMIC_POSITIONS crystal
Al 0.651 0.651 0.378
Al 0.000 0.727 0.349
Al 0.273 0.622 0.273
Al 0.000 0.212 0.000
Al 0.622 0.273 0.273
Al 0.727 0.349 0.000
Al 0.651 0.378 0.651
Al 0.000 0.000 0.212
Al 0.349 0.727 0.000
Al 0.212 0.000 0.000
Al 0.727 0.000 0.349
Al 0.000 0.349 0.727
Al 0.378 0.651 0.651
Al 0.273 0.273 0.622
Al 0.349 0.000 0.727
Al 0.788 0.788 0.788
Fe 0.640 0.640 0.000
Fe 0.662 0.000 0.000
Fe 0.360 0.000 0.360
Fe 0.000 0.662 0.000
Fe 0.338 0.338 0.338
Fe 0.000 0.640 0.640
Fe 0.000 0.000 0.662
Fe 0.640 0.000 0.640
Fe 0.360 0.360 0.000
Fe 0.000 0.360 0.360
! Crystal system: cubic
! Mass density, g/cm3: 4.80
! Uncorrected energy, eV per atom: -5.843
! ΔE_f, eV per formula unit: -3.65